Rb2TbGaSi4O12 GGA-PBE relaxed; final energy = -7.265 eV/atom; energy of formation = -3.1418 eV/atom; space-group type = C2/c
1.0
13.626 -3.687 0.000
13.626 3.687 0.000
-8.247 0.000 12.599
Rb Tb Ga Si O
8 4 4 16 48
Direct
0.188 0.196 0.966
0.196 0.188 0.466
0.202 0.728 0.548
0.272 0.798 0.952
0.728 0.202 0.048
0.798 0.272 0.452
0.804 0.812 0.534
0.812 0.804 0.034
0.014 0.449 0.750
0.449 0.014 0.250
0.551 0.986 0.750
0.986 0.551 0.250
0.130 0.730 0.274
0.270 0.870 0.226
0.730 0.130 0.774
0.870 0.270 0.726
0.020 0.740 0.839
0.209 0.666 0.077
0.260 0.980 0.661
0.304 0.359 0.490
0.314 0.361 0.704
0.334 0.791 0.423
0.359 0.304 0.990
0.361 0.314 0.204
0.639 0.686 0.796
0.641 0.696 0.010
0.666 0.209 0.577
0.686 0.639 0.296
0.696 0.641 0.510
0.740 0.020 0.339
0.791 0.334 0.923
0.980 0.260 0.161
0.062 0.084 0.166
0.062 0.755 0.968
0.071 0.793 0.158
0.084 0.062 0.666
0.113 0.262 0.226
0.120 0.532 0.423
0.150 0.424 0.924
0.170 0.548 0.229
0.207 0.929 0.342
0.229 0.544 0.798
0.230 0.416 0.588
0.245 0.938 0.532
0.258 0.296 0.703
0.262 0.113 0.726
0.296 0.258 0.203
0.321 0.668 0.379
0.332 0.679 0.121
0.364 0.440 0.056
0.416 0.230 0.088
0.424 0.150 0.424
0.440 0.364 0.556
0.452 0.830 0.271
0.456 0.771 0.702
0.468 0.880 0.077
0.532 0.120 0.923
0.544 0.229 0.298
0.548 0.170 0.729
0.560 0.636 0.444
0.576 0.850 0.576
0.584 0.770 0.912
0.636 0.560 0.944
0.668 0.321 0.879
0.679 0.332 0.621
0.704 0.742 0.797
0.738 0.887 0.274
0.742 0.704 0.297
0.755 0.062 0.468
0.770 0.584 0.412
0.771 0.456 0.202
0.793 0.071 0.658
0.830 0.452 0.771
0.850 0.576 0.076
0.880 0.468 0.577
0.887 0.738 0.774
0.916 0.938 0.334
0.929 0.207 0.842
0.938 0.245 0.032
0.938 0.916 0.834